Computed, not measured: U3O8 after structural relaxation at the r²SCAN level of DFT.

Lattice parameters (Å, degrees): 11.4632 7.0643 8.2725 90.00 90.00 90.00
Space group Cmcm (No. 63)
Asymmetric unit:
U (0.0000, 0.0007, 0.2500) [4 per cell]
U (0.1806, 0.4973, 0.2500) [8 per cell]
O (0.0000, 0.0000, 0.0000) [4 per cell]
O (0.0000, 0.4732, 0.2500) [4 per cell]
O (0.1382, 0.1898, 0.7500) [8 per cell]
O (0.1491, 0.1733, 0.2500) [8 per cell]
O (0.1850, 0.5000, 0.0000) [8 per cell]

Raw total energy in Ha/atom: -1.0897
Energy of formation from the pure elements in meV per atom: -3506
Calculated volume in A^3/atom: 15.23
Size of the total moment in μB/f.u.: 2.00